This record from the Materials Project database describes a geometry-optimized Ga2BiS4 structure. The functional is r2SCAN.

Output
The crystal system is tetragonal. The formation energy is -0.702 eV per atom. The total moment is 0.00 μB per atom.

Cell: 7.583 7.583 12.119 Å, 90.00 90.00 90.00°
Positions (direct):
1 Ga 0.250 0.750 0.000
2 Ga 0.250 0.750 0.250
3 Ga 0.250 0.750 0.500
4 Ga 0.250 0.750 0.750
5 Ga 0.750 0.250 0.000
6 Ga 0.750 0.250 0.250
7 Ga 0.750 0.250 0.500
8 Ga 0.750 0.250 0.750
9 Bi 0.250 0.250 0.120
10 Bi 0.250 0.250 0.380
11 Bi 0.750 0.750 0.620
12 Bi 0.750 0.750 0.880
13 S 0.089 0.590 0.625
14 S 0.089 0.910 0.875
15 S 0.090 0.589 0.125
16 S 0.090 0.911 0.375
17 S 0.410 0.589 0.375
18 S 0.410 0.911 0.125
19 S 0.411 0.590 0.875
20 S 0.411 0.910 0.625
21 S 0.589 0.090 0.375
22 S 0.589 0.410 0.125
23 S 0.590 0.089 0.875
24 S 0.590 0.411 0.625
25 S 0.910 0.089 0.625
26 S 0.910 0.411 0.875
27 S 0.911 0.090 0.125
28 S 0.911 0.410 0.375

=====

This record from the Materials Project database describes a geometry-optimized Li3GdBi2 structure. The functional is r2SCAN.

Output
The crystal system is trigonal. The formation energy is -0.796 eV per atom. The total moment is 1.17 μB per atom.

Cell: 4.660 4.660 7.346 Å, 90.00 90.00 120.00°
Positions (direct):
1 Li 0.000 0.000 0.000
2 Li 0.333 0.667 0.851
3 Li 0.667 0.333 0.149
4 Gd 0.000 0.000 0.500
5 Bi 0.333 0.667 0.252
6 Bi 0.667 0.333 0.748

=====

This record from the Materials Project database describes a geometry-optimized GdNiBi structure. The functional is r2SCAN.

Output
The crystal system is cubic. The formation energy is -0.707 eV per atom. The total moment is 2.33 μB per atom.

Cell: 4.592 4.592 4.592 Å, 60.00 60.00 60.00°
Positions (direct):
1 Gd 0.000 0.000 0.000
2 Ni 0.750 0.750 0.750
3 Bi 0.500 0.500 0.500

=====

This record from the Materials Project database describes a geometry-optimized Ge2Bi2O7 structure. The functional is r2SCAN.

Output
The formation energy is -1.576 eV per atom. The total moment is 0.00 μB per atom.

Cell: 10.162 10.162 10.162 Å, 90.00 90.00 90.00°
Positions (direct):
1 Ge 0.125 0.125 0.125
2 O 0.250 0.054 0.250
3 Bi 0.375 0.875 0.125
4 O 0.196 0.000 0.000
5 O 0.804 0.500 0.500
6 O 0.000 0.696 0.500
7 Ge 0.875 0.125 0.875
8 O 0.250 0.750 0.554
9 Ge 0.375 0.875 0.625
10 O 0.750 0.250 0.946
11 O 0.750 0.554 0.250
12 O 0.000 0.196 0.000
13 O 0.196 0.500 0.500
14 O 0.250 0.946 0.750
15 O 0.250 0.250 0.054
16 O 0.500 0.000 0.304
17 O 0.000 0.804 0.000
18 Bi 0.625 0.125 0.125
19 Ge 0.875 0.625 0.375
20 Bi 0.125 0.125 0.625
21 Bi 0.625 0.625 0.625
22 O 0.250 0.750 0.946
23 Ge 0.625 0.125 0.625
24 O 0.696 0.000 0.500
25 Ge 0.125 0.375 0.375
26 Bi 0.375 0.125 0.875
27 Ge 0.375 0.375 0.125
28 O 0.500 0.196 0.500
29 Bi 0.625 0.875 0.875
30 Ge 0.125 0.625 0.625
31 Bi 0.375 0.375 0.625
32 O 0.696 0.500 0.000
33 O 0.250 0.250 0.750
34 O 0.750 0.750 0.446
35 O 0.000 0.000 0.804
36 O 0.500 0.804 0.500
37 Bi 0.875 0.875 0.625
38 Bi 0.125 0.625 0.125
39 O 0.000 0.000 0.500
40 O 0.750 0.250 0.554
41 Bi 0.625 0.375 0.375
42 O 0.000 0.000 0.196
43 O 0.500 0.500 0.804
44 O 0.750 0.750 0.750
45 O 0.750 0.250 0.250
46 O 0.304 0.000 0.500
47 O 0.000 0.500 0.304
48 Ge 0.375 0.625 0.875
49 Ge 0.625 0.625 0.125
50 Ge 0.625 0.375 0.875
51 O 0.500 0.000 0.000
52 O 0.054 0.750 0.750
53 O 0.946 0.250 0.750
54 O 0.250 0.250 0.446
55 O 0.500 0.000 0.696
56 Bi 0.375 0.625 0.375
57 O 0.750 0.054 0.750
58 O 0.750 0.446 0.750
59 O 0.250 0.554 0.750
60 O 0.000 0.304 0.500
61 O 0.804 0.000 0.000
62 Ge 0.875 0.875 0.125
63 O 0.250 0.446 0.250
64 Bi 0.125 0.375 0.875
65 O 0.446 0.250 0.250
66 O 0.000 0.500 0.696
67 Bi 0.875 0.625 0.875
68 O 0.946 0.750 0.250
69 Ge 0.375 0.125 0.375
70 O 0.250 0.750 0.250
71 O 0.446 0.750 0.750
72 O 0.500 0.696 0.000
73 O 0.750 0.946 0.250
74 O 0.000 0.500 0.000
75 O 0.500 0.500 0.500
76 O 0.554 0.250 0.750
77 Bi 0.875 0.375 0.125
78 Ge 0.875 0.375 0.625
79 O 0.054 0.250 0.250
80 O 0.500 0.500 0.196
81 O 0.304 0.500 0.000
82 O 0.554 0.750 0.250
83 O 0.500 0.304 0.000
84 Ge 0.625 0.875 0.375
85 Bi 0.875 0.125 0.375
86 Ge 0.125 0.875 0.875
87 Bi 0.125 0.875 0.375
88 O 0.750 0.750 0.054

=====

This record from the Materials Project database describes a geometry-optimized ZnGeBi2O6 structure. The functional is r2SCAN.

Output
The crystal system is cubic. The formation energy is -1.345 eV per atom. The total moment is 0.00 μB per atom.

Cell: 5.460 5.460 5.460 Å, 60.00 60.00 60.00°
Positions (direct):
1 Zn 0.000 0.000 0.000
2 Ge 0.500 0.500 0.500
3 Bi 0.250 0.250 0.250
4 Bi 0.750 0.750 0.750
5 O 0.259 0.259 0.741
6 O 0.259 0.741 0.259
7 O 0.259 0.741 0.741
8 O 0.741 0.259 0.259
9 O 0.741 0.259 0.741
10 O 0.741 0.741 0.259

=====

This record from the Materials Project database describes a geometry-optimized GeBi4Te7 structure. The functional is r2SCAN.

Output
The crystal system is trigonal. The formation energy is -0.227 eV per atom. The total moment is 0.00 μB per atom.

Cell: 4.383 4.383 24.914 Å, 90.00 90.00 120.00°
Positions (direct):
1 Ge 0.000 0.000 0.000
2 Bi 0.333 0.667 0.583
3 Bi 0.333 0.667 0.850
4 Bi 0.667 0.333 0.150
5 Bi 0.667 0.333 0.417
6 Te 0.000 0.000 0.220
7 Te 0.000 0.000 0.500
8 Te 0.000 0.000 0.780
9 Te 0.333 0.667 0.066
10 Te 0.333 0.667 0.348
11 Te 0.667 0.333 0.652
12 Te 0.667 0.333 0.934

=====

- Look up the total moment of the second one.
  1.17 μB per atom

=====

- total moment of number 4 (Ge2Bi2O7)?
  0.00 μB per atom

=====

- Which value of total moment does entry 3 give?
  2.33 μB per atom